# 1
A plane-wave DFT calculation with PBE+U was carried out for a relaxed structure of Na2LiVF6.

Computed properties:
Symmetry = Fm-3m (225)
Formation energy from the elements = -30.189 eV/f.u.

a = 5.5653 Å, b = 5.5653 Å, c = 5.5653 Å
α = 60.00°, β = 60.00°, γ = 60.00°
Closest atoms and distances in Å follow each position.
Sites, in units of the cell vectors:
Na: 0.2500 0.2500 0.2500  12 F 2.78
Na: 0.7500 0.7500 0.7500  12 F 2.78
Li: 0.5000 0.5000 0.5000  6 F 1.99
V: 0.0000 0.0000 0.0000  6 F 1.94
F: 0.2467 0.7533 0.2467  1 V 1.94, 1 Li 1.99
F: 0.7533 0.7533 0.2467  1 V 1.94, 1 Li 1.99
F: 0.7533 0.2467 0.7533  1 V 1.94, 1 Li 1.99
F: 0.7533 0.2467 0.2467  1 V 1.94, 1 Li 1.99
F: 0.2467 0.7533 0.7533  1 V 1.94, 1 Li 1.99
F: 0.2467 0.2467 0.7533  1 V 1.94, 1 Li 1.99

---

# 2
A plane-wave DFT calculation with PBE+U was carried out for a relaxed structure of Li2NiF4.

Computed properties:
Symmetry = Imma (74)
Formation energy from the elements = -19.664 eV/f.u.

a = 5.9223 Å, b = 5.9223 Å, c = 5.9223 Å
α = 120.45°, β = 118.99°, γ = 90.49°
Closest atoms and distances in Å follow each position.
Sites, in units of the cell vectors:
Li: 0.1163 0.8663 0.2500  4 F 1.92-1.94
Li: 0.5000 0.0000 0.0000  6 F 2.04-2.06
Li: 0.5000 0.5000 0.5000  6 F 2.04-2.06
Li: 0.8837 0.1337 0.7500  4 F 1.92-1.94
Ni: 0.0000 0.5000 0.5000  6 F 1.99-2.04
Ni: 0.5000 0.5000 0.0000  6 F 1.99-2.04
F: 0.2538 0.7375 0.9837  2 Li 1.94-2.06, 2 Ni 2.04
F: 0.2538 0.2701 0.5163  2 Li 1.94-2.06, 2 Ni 2.04
F: 0.7236 0.7386 0.9850  3 Li 1.92-2.04, 1 Ni 1.99
F: 0.2536 0.7386 0.5150  3 Li 1.92-2.04, 1 Ni 1.99
F: 0.7464 0.2614 0.4850  3 Li 1.92-2.04, 1 Ni 1.99
F: 0.7462 0.7299 0.4837  2 Li 1.94-2.06, 2 Ni 2.04
F: 0.2764 0.2614 0.0150  3 Li 1.92-2.04, 1 Ni 1.99
F: 0.7462 0.2625 0.0163  2 Li 1.94-2.06, 2 Ni 2.04

---

# 3
A plane-wave DFT calculation with PBE+U was carried out for a relaxed structure of Li2NiO2F.

Computed properties:
Formation energy from the elements = -12.316 eV/f.u.

a = 2.8244 Å, b = 14.6708 Å, c = 5.1406 Å
α = 77.81°, β = 90.01°, γ = 95.49°
Closest atoms and distances in Å follow each position.
Sites, in units of the cell vectors:
Li: 0.8333 0.6666 0.8333  6 O 2.12-2.13
Li: 0.3333 0.6667 0.3333  6 O 2.12-2.13
Li: 0.5833 0.1666 0.0834  6 F 2.01-2.11
Li: 0.0833 0.1666 0.5833  6 F 2.01-2.11
Li: 0.1654 0.3313 0.1671  3 F 2.00-2.12, 3 O 2.12-2.13
Li: 0.6654 0.3313 0.6672  3 F 2.00-2.12, 3 O 2.12-2.13
Li: 0.5012 0.0020 0.4994  3 F 2.00-2.12, 3 O 2.12-2.13
Li: 0.0012 0.0020 0.9994  3 F 2.00-2.12, 3 O 2.12-2.13
Ni: 0.4173 0.8343 0.9173  6 O 1.92-2.14
Ni: 0.2494 0.4990 0.7493  6 O 1.92-2.14
Ni: 0.9173 0.8343 0.4173  6 O 1.92-2.14
Ni: 0.7494 0.4990 0.2493  6 O 1.92-2.14
O: 0.9550 0.9100 0.7312  3 Ni 1.92-2.14, 3 Li 2.12-2.13
O: 0.4550 0.9100 0.2313  3 Ni 1.92-2.14, 3 Li 2.12-2.13
O: 0.7119 0.4234 0.9351  3 Ni 1.92-2.14, 3 Li 2.12-2.13
O: 0.2119 0.4234 0.4351  3 Ni 1.92-2.14, 3 Li 2.12-2.13
O: 0.2874 0.5748 0.0634  3 Ni 1.92-2.14, 3 Li 2.12-2.13
O: 0.7873 0.5747 0.5635  3 Ni 1.92-2.14, 3 Li 2.12-2.13
O: 0.8792 0.7586 0.1033  3 Ni 1.92-2.14, 3 Li 2.13
O: 0.3792 0.7586 0.6033  3 Ni 1.92-2.14, 3 Li 2.13
F: 0.0423 0.0843 0.2936  6 Li 2.00-2.12
F: 0.5423 0.0843 0.7936  6 Li 2.00-2.12
F: 0.6244 0.2491 0.3734  6 Li 2.00-2.12
F: 0.1244 0.2490 0.8734  6 Li 2.00-2.12

---

# 4
A plane-wave DFT calculation with PBE+U was carried out for a relaxed structure of Li2NiO2F.

Computed properties:
Symmetry = P1 (1)
Formation energy from the elements = -12.291 eV/f.u.

a = 2.8449 Å, b = 2.9021 Å, c = 28.5610 Å
α = 91.38°, β = 90.50°, γ = 61.33°
Closest atoms and distances in Å follow each position.
Sites, in units of the cell vectors:
Li: 0.6668 0.6665 0.3333  6 O 2.09-2.17
Li: 0.6753 0.6602 0.8332  6 O 2.05-2.22
Li: 0.6638 0.6696 0.0837  6 F 2.01-2.09
Li: 0.6672 0.6671 0.5830  6 F 2.01-2.07
Li: 0.3325 0.3391 0.1657  3 F 2.00-2.09, 3 O 2.10-2.17
Li: 0.3331 0.3393 0.6651  3 F 2.01-2.09, 3 O 2.10-2.17
Li: 0.9915 0.0010 0.0017  3 F 2.01-2.08, 3 O 2.06-2.22
Li: 0.0012 0.9946 0.5010  3 F 2.01-2.08, 3 O 2.10-2.17
Ni: 0.3335 0.3292 0.9174  6 O 1.90-2.08
Ni: 0.0002 0.0020 0.2496  6 O 1.91-2.12
Ni: 0.3341 0.3306 0.4170  6 O 1.91-2.12
Ni: 0.0031 0.9997 0.7492  6 O 1.92-2.13
O: 0.6910 0.6221 0.4547  3 Ni 1.91-2.12, 2 Li 2.10-2.13
O: 0.6206 0.6842 0.9551  3 Ni 1.90-2.08, 1 Li 2.06
O: 0.6431 0.7106 0.2119  3 Ni 1.91-2.12, 2 Li 2.10-2.12
O: 0.6443 0.7096 0.7115  3 Ni 1.92-2.13, 2 Li 2.10-2.13
O: 0.3567 0.2933 0.2873  3 Ni 1.91-2.12, 2 Li 2.09-2.12
O: 0.3623 0.2898 0.7870  3 Ni 1.92-2.13, 2 Li 2.10-2.13
O: 0.9773 0.0392 0.3793  3 Ni 1.91-2.12, 2 Li 2.09-2.12
O: 0.0465 0.9734 0.8797  3 Ni 1.91-2.08, 2 Li 2.05-2.13
F: 0.3257 0.3369 0.0427  6 Li 2.01-2.09
F: 0.3365 0.3274 0.5420  6 Li 2.01-2.08
F: 0.9959 0.0080 0.1247  6 Li 2.00-2.09
F: 0.9977 0.0067 0.6241  6 Li 2.01-2.09

---

# 5
A plane-wave DFT calculation with PBE+U was carried out for a relaxed structure of LiNiOF.

Computed properties:
Symmetry = P4/nmm (129)
Formation energy from the elements = -8.607 eV/f.u.

a = 2.9562 Å, b = 2.9562 Å, c = 16.6652 Å
α = 90.00°, β = 90.00°, γ = 90.00°
Closest atoms and distances in Å follow each position.
Sites, in units of the cell vectors:
Li: 0.0000 0.5000 0.3155  5 F 2.06-2.09, 1 O 2.07
Li: 0.5000 0.0000 0.4399  6 F 2.01-2.09
Li: 0.0000 0.5000 0.5601  6 F 2.01-2.09
Li: 0.5000 0.0000 0.6845  5 F 2.06-2.09, 1 O 2.07
Ni: 0.0000 0.5000 0.8105  5 O 2.09-2.10, 1 F 2.16
Ni: 0.5000 0.0000 0.9355  6 O 2.09-2.13
Ni: 0.0000 0.5000 0.0645  6 O 2.09-2.13
Ni: 0.5000 0.0000 0.1895  5 O 2.09-2.10, 1 F 2.16
O: 0.5000 0.0000 0.8086  1 Li 2.07, 5 Ni 2.09-2.11
O: 0.0000 0.5000 0.9364  6 Ni 2.09-2.13
O: 0.5000 0.0000 0.0636  6 Ni 2.09-2.13
O: 0.0000 0.5000 0.1914  1 Li 2.07, 5 Ni 2.09-2.11
F: 0.5000 0.0000 0.3191  5 Li 2.01-2.09, 1 Ni 2.16
F: 0.0000 0.5000 0.4390  6 Li 2.02-2.09
F: 0.5000 0.0000 0.5610  6 Li 2.02-2.09
F: 0.0000 0.5000 0.6809  5 Li 2.01-2.09, 1 Ni 2.16

---

# 6
A plane-wave DFT calculation with PBE+U was carried out for a relaxed structure of Li7NiO4F2.

Computed properties:
Symmetry = P1 (1)
Formation energy from the elements = -29.530 eV/f.u.

a = 5.3561 Å, b = 5.8311 Å, c = 10.1121 Å
α = 83.24°, β = 80.05°, γ = 119.66°
Closest atoms and distances in Å follow each position.
Sites, in units of the cell vectors:
Li: 0.0939 0.0368 0.2270  2 F 1.91-2.02, 2 O 1.98-2.05
Li: 0.0956 0.6219 0.7460  3 O 1.88-1.95, 1 F 1.96
Li: 0.4856 0.9433 0.3843  1 F 1.85, 2 O 1.87-2.00
Li: 0.5386 0.5725 0.1151  2 F 1.82-1.86, 1 O 1.99
Li: 0.2655 0.2170 0.4422  1 F 1.88, 2 O 1.92-2.07
Li: 0.2371 0.7200 0.9621  1 F 1.88, 3 O 1.96-2.06
Li: 0.3048 0.3484 0.6768  2 O 2.01, 1 F 2.06
Li: 0.7229 0.2387 0.0606  2 F 1.85-2.05, 2 O 1.89-2.02
Li: 0.7549 0.7745 0.5271  2 O 1.88-1.92
Li: 0.4767 0.4949 0.8926  1 F 1.85, 3 O 1.86-1.95
Li: 0.5248 0.0298 0.6164  4 O 1.87-2.06
Li: 0.9314 0.4639 0.2790  2 F 1.87-1.94, 1 O 1.95
Li: 0.8910 0.9033 0.7512  3 O 1.84-1.95, 1 F 1.87
Li: 0.6524 0.1491 0.8367  3 O 2.00-2.15
Ni: 0.0425 0.0400 0.9571  4 O 1.84-1.97
Ni: 0.0048 0.4937 0.5084  4 O 1.83-1.91
O: 0.0860 0.8244 0.3976  3 Li 1.87-1.98, 1 Ni 1.91
O: 0.2436 0.9634 0.8023  5 Li 1.92-2.06, 1 Ni 1.97
O: 0.3652 0.1937 0.0290  1 Ni 1.84, 3 Li 1.86-2.05
O: 0.3479 0.6805 0.5654  1 Ni 1.85, 5 Li 1.92-2.01
O: 0.0653 0.3695 0.8923  4 Li 1.88-2.06, 1 Ni 1.89
O: 0.6521 0.3098 0.4626  1 Ni 1.83, 3 Li 1.87-1.95
O: 0.6560 0.8356 0.9378  1 Ni 1.87, 5 Li 1.89-2.00
O: 0.9384 0.1596 0.6080  3 Li 1.84-2.01, 1 Ni 1.91
F: 0.2535 0.3989 0.2788  4 Li 1.82-2.02
F: 0.9064 0.6095 0.1106  4 Li 1.86-2.05
F: 0.7511 0.0540 0.2135  3 Li 1.85-1.91
F: 0.7121 0.5533 0.7198  4 Li 1.85-2.06